Compound: Cr4InAgSe8
Source: Materials Project
Functional: PBE
Structure: relaxed

Calculated values
* VASP energy: -5.669 eV per atom

a b c (Å): 10.8529 10.8529 10.8529
angles (deg): 90.00 90.00 90.00
Space group F-43m (No. 216)
Asymmetric unit:
Cr 0.1211 0.1211 0.1211 x16
In 0.0000 0.0000 0.5000 x4
Ag 0.2500 0.2500 0.7500 x4
Se 0.1103 0.1103 0.8897 x16
Se 0.1403 0.1403 0.3597 x16

=====

Compound: Cr2AgN3
Source: Materials Project
Functional: PBE
Structure: relaxed

Calculated values
* VASP energy: -7.838 eV per atom

a b c (Å): 2.9217 2.9217 28.0259
angles (deg): 90.00 90.00 120.00
Space group P3_121 (No. 152)
Asymmetric unit:
Cr 0.1479 0.5958 0.2852 x6
Ag 0.0000 0.7041 0.1667 x3
N 0.0000 0.7357 0.6667 x3
N 0.1756 0.7169 0.4104 x6

=====

Compound: NbCr3Ag2S8
Source: Materials Project
Functional: PBE
Structure: relaxed

Calculated values
* energy above the lowest structure with this stoichiometry: 2.64 eV/f.u.
* VASP energy: -5.982 eV per atom

a b c (Å): 6.5211 7.6929 12.2765
angles (deg): 97.84 94.60 90.65
Space group P-1 (No. 2)
Asymmetric unit:
Nb 0.1485 0.2066 0.3044 x2
Cr 0.2446 0.3897 0.9982 x2
Cr 0.3622 0.0573 0.7064 x2
Cr 0.3630 0.5485 0.7051 x2
Ag 0.1193 0.7006 0.2976 x2
Ag 0.2582 0.8737 0.9996 x2
S 0.0897 0.6352 0.0926 x2
S 0.1258 0.1752 0.1169 x2
S 0.1956 0.7890 0.6425 x2
S 0.2293 0.2831 0.6334 x2
S 0.3273 0.4621 0.3749 x2
S 0.3276 0.9750 0.3688 x2
S 0.3702 0.1192 0.8876 x2
S 0.4192 0.5774 0.8913 x2

=====

Compound: NbCr3Ag2S8
Source: Materials Project
Functional: PBE
Structure: relaxed

Calculated values
* energy above the lowest structure with this stoichiometry: 0.08 eV/f.u.
* VASP energy: -6.165 eV per atom

a b c (Å): 7.3051 7.3313 10.2112
angles (deg): 90.00 90.00 90.00
Space group P222_1 (No. 17)
Asymmetric unit:
Nb 0.0000 0.2037 0.2500 x2
Cr 0.2367 0.0000 0.5000 x2
Cr 0.2456 0.5000 0.5000 x2
Cr 0.5000 0.2435 0.2500 x2
Ag 0.2689 0.2781 0.8838 x4
S 0.0208 0.2528 0.4885 x4
S 0.2503 0.4576 0.2633 x4
S 0.2603 0.0030 0.2614 x4
S 0.4548 0.2449 0.4835 x4

=====

Which formula does entry 3 have? NbCr3Ag2S8

=====

What did the first record say?
Compound: Cr4InAgSe8
Source: Materials Project
Functional: PBE
Structure: relaxed

Calculated values
* VASP energy: -5.669 eV per atom

a b c (Å): 10.8529 10.8529 10.8529
angles (deg): 90.00 90.00 90.00
Space group F-43m (No. 216)
Asymmetric unit:
Cr 0.1211 0.1211 0.1211 x16
In 0.0000 0.0000 0.5000 x4
Ag 0.2500 0.2500 0.7500 x4
Se 0.1103 0.1103 0.8897 x16
Se 0.1403 0.1403 0.3597 x16

=====

Among the records above, which one has the highest VASP energy? Cr4InAgSe8

=====

Please write out number 2 again, unchanged.
Compound: Cr2AgN3
Source: Materials Project
Functional: PBE
Structure: relaxed

Calculated values
* VASP energy: -7.838 eV per atom

a b c (Å): 2.9217 2.9217 28.0259
angles (deg): 90.00 90.00 120.00
Space group P3_121 (No. 152)
Asymmetric unit:
Cr 0.1479 0.5958 0.2852 x6
Ag 0.0000 0.7041 0.1667 x3
N 0.0000 0.7357 0.6667 x3
N 0.1756 0.7169 0.4104 x6